Entry 1:
Compound: Pm3Pb
Source: Materials Project
Functional: PBE
Structure: optimized geometry

Unit cell a=4.983 b=4.983 c=4.983 alpha=90.00 beta=90.00 gamma=90.00
Sites, in units of the cell vectors:
1 Pm 0.000 0.000 0.500
2 Pm 0.000 0.500 0.000
3 Pm 0.500 0.000 0.000
4 Pb 0.500 0.500 0.500

Space group = No. 221
E_form = -1.27 eV per formula unit

---

Entry 2:
Compound: UCoGe
Source: Materials Project
Functional: PBE
Structure: optimized geometry

Unit cell a=6.693 b=4.287 c=7.099 alpha=90.00 beta=90.00 gamma=90.00
Sites, in units of the cell vectors:
1 U 0.017 0.250 0.204
2 U 0.483 0.750 0.704
3 U 0.517 0.250 0.296
4 U 0.983 0.750 0.796
5 Co 0.216 0.750 0.428
6 Co 0.284 0.250 0.928
7 Co 0.716 0.750 0.072
8 Co 0.784 0.250 0.572
9 Ge 0.190 0.250 0.592
10 Ge 0.310 0.750 0.092
11 Ge 0.690 0.250 0.908
12 Ge 0.810 0.750 0.408

Space group = No. 62
E_form = -1.01 eV per formula unit

---

Entry 3:
Compound: Y2Re3Si5
Source: Materials Project
Functional: PBE
Structure: optimized geometry

Unit cell a=10.986 b=10.986 c=5.569 alpha=90.00 beta=90.00 gamma=90.00
Sites, in units of the cell vectors:
1 Y 0.077 0.238 0.000
2 Y 0.238 0.923 0.000
3 Y 0.262 0.423 0.500
4 Y 0.423 0.738 0.500
5 Y 0.577 0.262 0.500
6 Y 0.738 0.577 0.500
7 Y 0.762 0.077 0.000
8 Y 0.923 0.762 0.000
9 Re 0.000 0.500 0.250
10 Re 0.000 0.500 0.750
11 Re 0.125 0.853 0.500
12 Re 0.147 0.125 0.500
13 Re 0.353 0.625 0.000
14 Re 0.375 0.353 0.000
15 Re 0.500 0.000 0.250
16 Re 0.500 0.000 0.750
17 Re 0.625 0.647 0.000
18 Re 0.647 0.375 0.000
19 Re 0.853 0.875 0.500
20 Re 0.875 0.147 0.500
21 Si 0.000 0.000 0.247
22 Si 0.000 0.000 0.753
23 Si 0.027 0.315 0.500
24 Si 0.173 0.673 0.250
25 Si 0.173 0.673 0.750
26 Si 0.185 0.473 0.000
27 Si 0.315 0.973 0.500
28 Si 0.327 0.173 0.250
29 Si 0.327 0.173 0.750
30 Si 0.473 0.815 0.000
31 Si 0.500 0.500 0.253
32 Si 0.500 0.500 0.747
33 Si 0.527 0.185 0.000
34 Si 0.673 0.827 0.250
35 Si 0.673 0.827 0.750
36 Si 0.685 0.027 0.500
37 Si 0.815 0.527 0.000
38 Si 0.827 0.327 0.250
39 Si 0.827 0.327 0.750
40 Si 0.973 0.685 0.500

Space group = No. 128
E_form = -5.58 eV per formula unit

---

> Which formula does entry 1 have?

Pm3Pb

---

> Which of these has the lowest E_form?

Y2Re3Si5

---

> Which formula does entry 3 have?

Y2Re3Si5

---

> E_form of number 3 (Y2Re3Si5)?

-5.58 eV per formula unit